Here is crystalline Ga4BiAs3 at its relaxed geometry from Materials Project. Energies are from PBE.

Calculated values
DFT total energy = -3.95 eV per atom
ΔH_f (0 K) = -158 kJ/mol of formula units
size of the total moment = 0.002 μB/f.u.

a b c (Å): 5.940 5.940 5.940
angles (deg): 90.00 90.00 90.00
Space group P-43m (No. 215)
Inequivalent atoms, fractional coordinates:
Ga 0.239 0.239 0.761 [4 per cell]
Bi 0.500 0.500 0.500 [1 per cell]
As 0.000 0.000 0.500 [3 per cell]